Record 1
Below is Na6La2Y2Si3S3O24 after structural relaxation, with properties calculated at the PBE level.

Calculated values
Energy of formation in eV per formula unit: -113.1
Raw total energy in eV per atom: -6.869
SG: No. 1

Structure (POSCAR):
```
Na6La2Y2Si3S3O24
1.0
-1.9815 6.7263 -6.4981
2.5938 -8.7127 -2.8401
-22.7853 -6.7652 -0.0084
Na La Y Si S O
18 6 6 9 9 72
direct
0.6368 0.0182 0.2649
0.3389 0.3402 0.2577
0.6596 0.6597 0.7291
0.9734 0.3591 0.7383
0.0083 0.6732 0.5962
0.6851 0.9745 0.5836
0.3223 0.9731 0.1034
0.0158 0.3161 0.0854
0.9696 0.6423 0.8934
0.7152 0.0488 0.9050
0.9483 0.2878 0.4254
0.3547 0.0298 0.4093
0.9573 0.9910 0.5079
0.9799 0.0215 0.9977
0.6730 0.3226 0.8178
0.6766 0.3231 0.3334
0.3199 0.6770 0.1781
0.3335 0.6641 0.6641
0.0039 0.0110 0.8403
0.9920 0.9990 0.1593
0.6745 0.3304 0.9854
0.3396 0.6577 0.0169
0.3544 0.6590 0.5188
0.3217 0.6706 0.8103
0.9891 0.9956 0.3468
0.9969 0.9983 0.6492
0.6722 0.3376 0.6800
0.6724 0.3247 0.1881
0.6712 0.3393 0.4878
0.3289 0.6805 0.3171
0.3073 0.0032 0.2494
0.0071 0.3103 0.2485
0.9907 0.6890 0.7495
0.6951 0.0022 0.7496
0.9686 0.3335 0.5817
0.6752 0.6397 0.5872
0.6646 0.0262 0.0837
0.0280 0.3580 0.9206
0.6413 0.9806 0.4161
0.6848 0.6878 0.2528
0.3105 0.3040 0.7464
0.3664 0.0386 0.5806
0.9713 0.6378 0.0847
0.3641 0.3303 0.0883
0.6469 0.6724 0.9137
0.3265 0.9679 0.9216
0.3313 0.3546 0.4100
0.0320 0.6672 0.4178
0.2015 0.0131 0.3020
0.7915 0.7724 0.3009
0.9759 0.1740 0.2971
0.2438 0.2258 0.8012
0.9946 0.7750 0.8107
0.7874 0.0233 0.8112
0.8100 0.9943 0.6998
0.2038 0.2081 0.7000
0.0055 0.8071 0.6976
0.7515 0.7822 0.2006
0.0332 0.2412 0.1879
0.2146 0.9848 0.1893
0.8744 0.3516 0.6367
0.4706 0.1294 0.6285
0.6599 0.5421 0.6449
0.8674 0.5389 0.1316
0.6531 0.1354 0.1356
0.4582 0.3390 0.1390
0.4543 0.3393 0.0366
0.8920 0.5689 0.0302
0.6777 0.1226 0.0243
0.4406 0.1250 0.5269
0.6720 0.5310 0.5331
0.8611 0.3141 0.5240
0.5597 0.6793 0.9646
0.1148 0.4425 0.9815
0.3218 0.8822 0.9748
0.5525 0.8822 0.4736
0.3029 0.4311 0.4593
0.1242 0.6895 0.4701
0.1187 0.6423 0.3699
0.5272 0.8840 0.3610
0.3477 0.4498 0.3586
0.1303 0.4773 0.8685
0.3483 0.8821 0.8734
0.5577 0.6656 0.8627
0.0198 0.8145 0.4082
0.8272 0.0094 0.4122
0.1857 0.1878 0.4059
0.9965 0.1721 0.9178
0.1733 0.9699 0.9175
0.8094 0.8222 0.9153
0.9787 0.1667 0.5851
0.2027 0.0165 0.5854
0.8478 0.8138 0.5846
0.0097 0.8085 0.0874
0.8338 0.0198 0.0865
0.2075 0.1733 0.0863
0.6778 0.1640 0.7437
0.4741 0.3263 0.7418
0.8198 0.5140 0.7484
0.6630 0.5231 0.2476
0.8408 0.3221 0.2483
0.4844 0.1753 0.2499
0.6712 0.5297 0.9162
0.8463 0.3463 0.9164
0.4679 0.1343 0.9216
0.6530 0.1624 0.4158
0.4751 0.3348 0.4168
0.8696 0.5187 0.4200
0.3274 0.4653 0.0899
0.1279 0.6349 0.0884
0.4924 0.8518 0.0850
0.3530 0.8750 0.5801
0.5300 0.6870 0.5866
0.1409 0.5065 0.5793
0.3479 0.8537 0.2540
0.5228 0.6714 0.2608
0.1749 0.4811 0.2591
0.3220 0.4666 0.7453
0.1372 0.6439 0.7451
0.5264 0.8267 0.7480
```

---

Record 2
Below is Na6La4Y4Si3S9O48 after structural relaxation, with properties calculated at the PBE level.

Calculated values
Energy of formation in eV per formula unit: -203.2
Raw total energy in eV per atom: -6.956
SG: No. 1

Structure (POSCAR):
```
Na6La4Y4Si3S9O48
1.0
-18.2369 -4.8051 -1.0161
4.1379 0.9570 8.4018
-6.3343 24.0230 0.3459
Na La Y Si S O
18 12 12 9 27 144
direct
0.0063 0.6492 0.2547
0.5049 0.3633 0.7434
0.1600 0.3036 0.9119
0.6592 0.3031 0.9106
0.1619 0.0200 0.4158
0.6581 0.0099 0.4171
0.9941 0.9845 0.4988
0.4945 0.0003 0.5025
0.9960 0.0086 0.9936
0.4944 0.0053 0.9956
0.3308 0.3322 0.8264
0.8384 0.3347 0.8299
0.3426 0.3504 0.3378
0.8312 0.3307 0.3355
0.1734 0.6844 0.1721
0.6645 0.6827 0.1741
0.1680 0.6499 0.6713
0.6613 0.6458 0.6632
0.0050 0.0145 0.6512
0.5060 0.0203 0.6468
0.0075 0.0038 0.1504
0.5043 0.9952 0.1516
0.8260 0.3327 0.6884
0.3277 0.3219 0.1897
0.1600 0.6572 0.0142
0.6618 0.6562 0.0150
0.1635 0.6683 0.5157
0.6498 0.6465 0.5189
0.6591 0.6723 0.3173
0.1594 0.6454 0.8147
0.0009 0.9951 0.3504
0.5042 0.9942 0.3485
0.0046 0.0161 0.8466
0.5010 0.0074 0.8477
0.3308 0.3353 0.6828
0.8239 0.3159 0.1869
0.3430 0.3330 0.9796
0.8397 0.3326 0.9806
0.3465 0.3473 0.4841
0.8421 0.3514 0.4807
0.1641 0.6698 0.3189
0.6628 0.6576 0.8169
0.1475 0.9923 0.2541
0.6516 0.0026 0.2516
0.1550 0.2996 0.7516
0.6489 0.3021 0.7553
0.4790 0.3319 0.5877
0.0138 0.3558 0.9171
0.5171 0.3623 0.9140
0.0166 0.6686 0.4136
0.5123 0.6700 0.4161
0.3491 0.7054 0.2524
0.8535 0.7005 0.2490
0.9998 0.3019 0.2509
0.5000 0.2930 0.2511
0.9992 0.7067 0.7514
0.4998 0.7006 0.7514
0.3526 0.0053 0.7503
0.8492 0.9939 0.7528
0.9787 0.3325 0.5822
0.1883 0.0440 0.5810
0.6892 0.0422 0.5792
0.3320 0.6235 0.5830
0.8345 0.6311 0.5813
0.4786 0.6252 0.0823
0.9760 0.6200 0.0851
0.3336 0.0379 0.0815
0.8333 0.0435 0.0834
0.1878 0.3346 0.0799
0.6900 0.3342 0.0816
0.3183 0.6641 0.9181
0.8157 0.6647 0.9161
0.1666 0.9745 0.9168
0.6666 0.9692 0.9159
0.3157 0.9666 0.4151
0.8180 0.9714 0.4185
0.1662 0.3642 0.4150
0.6676 0.3586 0.4162
0.1012 0.0126 0.3068
0.6080 0.0197 0.3065
0.4007 0.7935 0.2994
0.9046 0.7836 0.2975
0.4925 0.1940 0.2990
0.9867 0.1976 0.2984
0.1100 0.1989 0.8079
0.6055 0.1939 0.8099
0.4892 0.7819 0.7999
0.9922 0.7918 0.7997
0.4037 0.0219 0.7990
0.9017 0.0108 0.8001
0.3895 0.9795 0.7019
0.8852 0.9717 0.7026
0.0953 0.2031 0.6997
0.5909 0.2155 0.7025
0.0027 0.7962 0.7015
0.5090 0.7940 0.7024
0.3846 0.7985 0.2018
0.8917 0.8018 0.2003
0.0095 0.2254 0.2012
0.5034 0.2104 0.2008
0.0897 0.9645 0.2002
0.5959 0.9854 0.1981
0.4347 0.3415 0.6438
0.9397 0.3453 0.6319
0.2366 0.1314 0.6294
0.7356 0.1273 0.6289
0.3238 0.5257 0.6322
0.8282 0.5374 0.6311
0.4395 0.5341 0.1318
0.9364 0.5286 0.1348
0.3265 0.1174 0.1312
0.8275 0.1284 0.1324
0.2340 0.3449 0.1295
0.7389 0.3446 0.1300
0.2295 0.3234 0.0310
0.7301 0.3223 0.0318
0.4301 0.5368 0.0338
0.9278 0.5333 0.0365
0.3388 0.1376 0.0336
0.8393 0.1407 0.0347
0.2267 0.1340 0.5305
0.7319 0.1396 0.5306
0.3359 0.5369 0.5340
0.8405 0.5408 0.5336
0.4272 0.3246 0.5336
0.9303 0.3237 0.5338
0.2810 0.6940 0.9664
0.7808 0.6945 0.9657
0.0745 0.4441 0.9697
0.5775 0.4504 0.9669
0.1569 0.8763 0.9661
0.6574 0.8735 0.9654
0.2806 0.8671 0.4644
0.7814 0.8687 0.4660
0.1564 0.4413 0.4643
0.6585 0.4370 0.4649
0.0787 0.7028 0.4652
0.5752 0.7097 0.4671
0.0595 0.6454 0.3590
0.5560 0.6433 0.3628
0.2616 0.8794 0.3679
0.7674 0.8972 0.3692
0.1776 0.4683 0.3673
0.6824 0.4606 0.3677
0.0575 0.4710 0.8650
0.5622 0.4765 0.8614
0.1814 0.9021 0.8692
0.6802 0.8923 0.8684
0.2670 0.6371 0.8700
0.7621 0.6410 0.8691
0.0122 0.8405 0.4098
0.5094 0.8424 0.4101
0.3988 0.9956 0.4066
0.9023 0.9996 0.4099
0.0905 0.1991 0.4089
0.5928 0.1938 0.4102
0.0109 0.1774 0.9124
0.5119 0.1813 0.9104
0.0916 0.9900 0.9116
0.5920 0.9853 0.9100
0.4022 0.8053 0.9111
0.8997 0.8034 0.9083
0.4882 0.1660 0.5844
0.9858 0.1811 0.5822
0.1045 0.0233 0.5844
0.6063 0.0231 0.5812
0.4064 0.7855 0.5859
0.9107 0.7947 0.5830
0.4856 0.7906 0.0824
0.9838 0.7862 0.0857
0.4083 0.0231 0.0831
0.9080 0.0278 0.0862
0.1044 0.1856 0.0823
0.6067 0.1866 0.0847
0.3522 0.1642 0.7468
0.8441 0.1469 0.7497
0.2447 0.3128 0.7466
0.7404 0.3217 0.7508
0.4275 0.5297 0.7477
0.9264 0.5388 0.7499
0.3434 0.5420 0.2491
0.8548 0.5419 0.2433
0.4272 0.3152 0.2491
0.9287 0.3307 0.2444
0.2381 0.1552 0.2483
0.7423 0.1710 0.2461
0.3204 0.5078 0.9260
0.8162 0.5057 0.9230
0.4266 0.3440 0.9224
0.9234 0.3373 0.9251
0.2371 0.1465 0.9248
0.7377 0.1408 0.9227
0.3144 0.1247 0.4205
0.8210 0.1341 0.4251
0.2365 0.3346 0.4203
0.7384 0.3274 0.4229
0.4217 0.5075 0.4217
0.9259 0.5066 0.4215
0.1792 0.4841 0.0788
0.6828 0.4851 0.0808
0.0597 0.6397 0.0818
0.5621 0.6456 0.0789
0.2593 0.8723 0.0779
0.7591 0.8790 0.0803
0.1809 0.8783 0.5804
0.6837 0.8797 0.5783
0.2578 0.6418 0.5802
0.7619 0.6494 0.5775
0.0622 0.4792 0.5788
0.5714 0.4969 0.5864
0.1516 0.8204 0.2568
0.6633 0.8406 0.2511
0.2656 0.6829 0.2585
0.7702 0.6705 0.2545
0.0744 0.4672 0.2569
0.5755 0.4557 0.2527
0.1634 0.4833 0.7516
0.6535 0.4825 0.7587
0.0746 0.6951 0.7534
0.5741 0.6823 0.7581
0.2690 0.8666 0.7567
0.7668 0.8508 0.7601
```

---

Record 3
Below is Na2La2Y2SiS5O24 after structural relaxation, with properties calculated at the PBE level.

Calculated values
Energy of formation in eV per formula unit: -97.7
Raw total energy in eV per atom: -6.987
SG: No. 1

Structure (POSCAR):
```
Na2La2Y2SiS5O24
1.0
9.2886 0.0091 0.0015
-4.6364 8.0429 0.0017
-0.0006 0.0086 25.1841
Na La Y Si S O
6 6 6 3 15 72
direct
0.9810 0.9761 0.5119
0.0002 0.0002 0.9965
0.6693 0.3172 0.8189
0.6426 0.3116 0.3355
0.3294 0.6860 0.1787
0.3788 0.6836 0.6630
0.0143 0.0007 0.3457
0.9723 0.9833 0.6503
0.6659 0.3323 0.6838
0.6667 0.3441 0.4841
0.3518 0.6684 0.5200
0.3506 0.6806 0.8149
0.9876 0.0022 0.8486
0.0108 0.9973 0.1526
0.6568 0.3233 0.1844
0.6677 0.3325 0.9851
0.3331 0.6674 0.0173
0.3333 0.6766 0.3129
0.3062 0.9972 0.2472
0.6993 0.0086 0.7530
0.6681 0.6368 0.5842
0.6971 0.6976 0.2462
0.0013 0.3028 0.2461
0.2940 0.2912 0.7538
0.9980 0.7029 0.7554
0.9715 0.3341 0.5818
0.3593 0.0302 0.5825
0.9616 0.6284 0.0823
0.6667 0.0366 0.0821
0.3711 0.3346 0.0822
0.6367 0.6661 0.9221
0.0340 0.3662 0.9212
0.3324 0.9699 0.9222
0.6313 0.9663 0.4117
0.3342 0.3735 0.4115
0.0381 0.6620 0.4139
0.2219 0.0210 0.3011
0.7923 0.7701 0.2956
0.9702 0.2042 0.2953
0.1993 0.1908 0.8013
0.9973 0.8023 0.8022
0.8023 0.0065 0.8066
0.7872 0.9981 0.6986
0.2090 0.2100 0.7041
0.0153 0.7935 0.7054
0.7834 0.8085 0.1999
0.0186 0.2120 0.1997
0.1881 0.9795 0.1956
0.8843 0.3380 0.6305
0.4574 0.1131 0.6308
0.6662 0.5360 0.6375
0.8838 0.5280 0.1304
0.6437 0.1161 0.1299
0.4733 0.3581 0.1302
0.4546 0.3135 0.0347
0.8584 0.5431 0.0347
0.6856 0.1409 0.0345
0.4519 0.1225 0.5339
0.6652 0.5360 0.5296
0.8718 0.3217 0.5337
0.5442 0.6854 0.9679
0.1428 0.4595 0.9676
0.3167 0.8591 0.9681
0.5526 0.8791 0.4619
0.3298 0.4549 0.4614
0.1263 0.6693 0.4633
0.1352 0.6620 0.3664
0.5284 0.8678 0.3653
0.3371 0.4728 0.3647
0.1023 0.4598 0.8720
0.3587 0.9019 0.8727
0.5424 0.6387 0.8727
0.0160 0.8106 0.4118
0.7983 0.9830 0.4085
0.1825 0.2064 0.4105
0.0202 0.1989 0.9194
0.1810 0.9853 0.9201
0.8041 0.8178 0.9192
0.9972 0.1893 0.5815
0.1974 0.0222 0.5830
0.8332 0.8207 0.5807
0.9768 0.7961 0.0862
0.8163 0.0190 0.0866
0.2030 0.1854 0.0871
0.6827 0.1744 0.7537
0.4625 0.3112 0.7562
0.8421 0.5406 0.7563
0.6831 0.5326 0.2378
0.8583 0.3299 0.2374
0.4911 0.1621 0.2403
0.6557 0.5180 0.9314
0.8650 0.3446 0.9306
0.4817 0.1371 0.9311
0.6431 0.1321 0.4103
0.4857 0.3563 0.4098
0.8725 0.5078 0.4114
0.3551 0.4863 0.0751
0.1305 0.6474 0.0751
0.5147 0.8696 0.0752
0.3365 0.8596 0.5814
0.5011 0.6568 0.5852
0.1341 0.4901 0.5800
0.3222 0.8293 0.2512
0.5281 0.6766 0.2508
0.1559 0.4668 0.2509
0.3067 0.4576 0.7570
0.1426 0.6768 0.7595
0.5127 0.8397 0.7545
```